# GGA-PBE MnNiGe, optimized geometry
# **Total magnetic moment**: 7.46 Bohr magnetons per cell
# **DFT formation energy**: 18.5 kJ/mol of formula units
# **Energy**: -38.748 eV for the cell shown
data_MnNiGe
_space_group_name_H-M_alt 'P 63/m m c'
_space_group_IT_number 194
_space_group_name_Hall '-P 6c 2c'
_cell_length_a 4.1453
_cell_length_b 4.1453
_cell_length_c 5.3914
_cell_angle_alpha 90.00
_cell_angle_beta 90.00
_cell_angle_gamma 120.00
loop_
_atom_site_label
_atom_site_fract_x
_atom_site_fract_y
_atom_site_fract_z
_atom_site_occupancy
Mn1 0.3333 0.6667 0.2500 1
Ni1 0.3333 0.6667 0.7500 1
Ge1 0.0000 0.0000 0.0000 1